1.
VASP calculation (PBE) on a relaxed LiTbS2 crystal.

Properties
- formation energy (kJ/mol of atoms) = -201.77
- space group = R-3m, No. 166

```
data_LiTbS2
_chemical_formula_sum 'Li1 Tb1 S2'
_cell_length_a 6.5944
_cell_length_b 6.5944
_cell_length_c 6.5944
_cell_angle_alpha 34.67
_cell_angle_beta 34.67
_cell_angle_gamma 34.67
_symmetry_space_group_name_H-M 'P 1'
_symmetry_Int_Tables_number 1
_symmetry_space_group_name_Hall 'P 1'
loop_
_atom_site_label
_atom_site_type_symbol
_atom_site_fract_x
_atom_site_fract_y
_atom_site_fract_z
Li1 Li 0.0000 0.0000 0.0000
Tb1 Tb 0.5000 0.5000 0.5000
S1 S 0.2504 0.2504 0.2504
S2 S 0.7496 0.7496 0.7496
```

---

2.
VASP calculation (PBE) on a relaxed Hg2H8C2NCl5 crystal.

Properties
- total magnetic moment (μB/cell) = 0.00
- formation energy (kJ/mol of atoms) = -58.23
- space group = P2_1/c, No. 14

```
data_Hg2H8C2NCl5
_chemical_formula_sum 'Hg8 H32 C8 N4 Cl20'
_cell_length_a 10.7247
_cell_length_b 7.3388
_cell_length_c 18.0766
_cell_angle_alpha 90.00
_cell_angle_beta 112.98
_cell_angle_gamma 90.00
_symmetry_space_group_name_H-M 'P 1'
_symmetry_Int_Tables_number 1
_symmetry_space_group_name_Hall 'P 1'
loop_
_atom_site_label
_atom_site_type_symbol
_atom_site_fract_x
_atom_site_fract_y
_atom_site_fract_z
Hg1 Hg 0.0003 0.1218 0.1523
Hg2 Hg 0.0003 0.3782 0.6523
Hg3 Hg 0.9997 0.6218 0.3477
Hg4 Hg 0.9997 0.8782 0.8477
Hg5 Hg 0.1562 0.6169 0.0969
Hg6 Hg 0.1562 0.8831 0.5969
Hg7 Hg 0.8438 0.1169 0.4031
Hg8 Hg 0.8438 0.3831 0.9031
H1 H 0.2939 0.1436 0.7995
H2 H 0.2939 0.3564 0.2995
H3 H 0.2982 0.0979 0.3814
H4 H 0.2982 0.4021 0.8814
H5 H 0.3037 0.1904 0.9321
H6 H 0.3037 0.3096 0.4321
H7 H 0.4196 0.5602 0.5980
H8 H 0.4196 0.9398 0.0980
H9 H 0.4328 0.2283 0.3182
H10 H 0.4328 0.2717 0.8182
H11 H 0.4424 0.5563 0.4148
H12 H 0.4424 0.9437 0.9148
H13 H 0.4556 0.1769 0.4556
H14 H 0.4556 0.3231 0.9556
H15 H 0.4610 0.5689 0.3209
H16 H 0.4610 0.9311 0.8209
H17 H 0.5390 0.0689 0.1791
H18 H 0.5390 0.4311 0.6791
H19 H 0.5444 0.6769 0.0444
H20 H 0.5444 0.8231 0.5444
H21 H 0.5576 0.0563 0.0852
H22 H 0.5576 0.4437 0.5852
H23 H 0.5672 0.7283 0.1818
H24 H 0.5672 0.7717 0.6818
H25 H 0.5804 0.0602 0.9020
H26 H 0.5804 0.4398 0.4019
H27 H 0.6963 0.6904 0.5679
H28 H 0.6963 0.8096 0.0679
H29 H 0.7018 0.5979 0.1186
H30 H 0.7018 0.9021 0.6186
H31 H 0.7061 0.6436 0.7005
H32 H 0.7061 0.8564 0.2005
C1 C 0.3595 0.2183 0.4081
C2 C 0.3595 0.2817 0.9081
C3 C 0.4745 0.0175 0.8727
C4 C 0.4745 0.4825 0.3727
C5 C 0.5255 0.5175 0.6273
C6 C 0.5255 0.9825 0.1273
C7 C 0.6405 0.7183 0.0919
C8 C 0.6405 0.7817 0.5919
N1 N 0.3875 0.1827 0.8442
N2 N 0.3875 0.3173 0.3442
N3 N 0.6125 0.6827 0.6558
N4 N 0.6125 0.8173 0.1558
Cl1 Cl 0.0611 0.2357 0.4791
Cl2 Cl 0.0611 0.2643 0.9791
Cl3 Cl 0.0979 0.0470 0.7306
Cl4 Cl 0.0979 0.4530 0.2306
Cl5 Cl 0.2189 0.5209 0.6993
Cl6 Cl 0.2189 0.9791 0.1993
Cl7 Cl 0.2207 0.7099 0.4388
Cl8 Cl 0.2207 0.7901 0.9388
Cl9 Cl 0.3814 0.5048 0.1503
Cl10 Cl 0.3814 0.9952 0.6503
Cl11 Cl 0.6186 0.0048 0.3497
Cl12 Cl 0.6186 0.4952 0.8497
Cl13 Cl 0.7793 0.2099 0.0612
Cl14 Cl 0.7793 0.2901 0.5612
Cl15 Cl 0.7811 0.0209 0.8007
Cl16 Cl 0.7811 0.4791 0.3007
Cl17 Cl 0.9021 0.5470 0.7694
Cl18 Cl 0.9021 0.9530 0.2694
Cl19 Cl 0.9389 0.7357 0.0209
Cl20 Cl 0.9389 0.7643 0.5209
```

---

3.
VASP calculation (PBE) on a relaxed Cu12Sb3AsS16 crystal.

Properties
- total magnetic moment (μB/cell) = 0.03
- formation energy (kJ/mol of atoms) = -44.57
- space group = Amm2, No. 38

```
data_Cu12Sb3AsS16
_chemical_formula_sum 'Cu12 Sb3 As1 S16'
_cell_length_a 15.2755
_cell_length_b 6.5744
_cell_length_c 6.5744
_cell_angle_alpha 70.88
_cell_angle_beta 90.00
_cell_angle_gamma 90.00
_symmetry_space_group_name_H-M 'P 1'
_symmetry_Int_Tables_number 1
_symmetry_space_group_name_Hall 'P 1'
loop_
_atom_site_label
_atom_site_type_symbol
_atom_site_fract_x
_atom_site_fract_y
_atom_site_fract_z
Cu1 Cu 0.0000 0.0000 0.0000
Cu2 Cu 0.1234 0.4941 0.9995
Cu3 Cu 0.1234 0.9995 0.4941
Cu4 Cu 0.2483 0.4965 0.4965
Cu5 Cu 0.3750 0.4967 0.9968
Cu6 Cu 0.3750 0.9968 0.4967
Cu7 Cu 0.5000 0.9974 0.9974
Cu8 Cu 0.6250 0.4967 0.9968
Cu9 Cu 0.6250 0.9968 0.4967
Cu10 Cu 0.7517 0.4965 0.4965
Cu11 Cu 0.8766 0.4941 0.9995
Cu12 Cu 0.8766 0.9995 0.4941
Sb1 Sb 0.2497 0.9969 0.9969
Sb2 Sb 0.5000 0.4970 0.4970
Sb3 Sb 0.7503 0.9969 0.9969
As1 As 0.0000 0.4969 0.4969
S1 S 0.0000 0.3718 0.8729
S2 S 0.0000 0.8729 0.3718
S3 S 0.1181 0.8635 0.8635
S4 S 0.1240 0.3697 0.3697
S5 S 0.2495 0.3952 0.8661
S6 S 0.2495 0.8661 0.3952
S7 S 0.3671 0.3633 0.3633
S8 S 0.3821 0.8635 0.8635
S9 S 0.5000 0.3651 0.8957
S10 S 0.5000 0.8957 0.3651
S11 S 0.6179 0.8635 0.8635
S12 S 0.6329 0.3633 0.3633
S13 S 0.7505 0.3952 0.8661
S14 S 0.7505 0.8661 0.3952
S15 S 0.8760 0.3697 0.3697
S16 S 0.8819 0.8635 0.8635
```

---

4.
VASP calculation (PBE) on a relaxed La2InCu2 crystal.

Properties
- formation energy (kJ/mol of atoms) = -32.83
- space group = P4/mbm, No. 127

```
data_La2InCu2
_chemical_formula_sum 'La4 In2 Cu4'
_cell_length_a 7.8683
_cell_length_b 7.8683
_cell_length_c 3.9601
_cell_angle_alpha 90.00
_cell_angle_beta 90.00
_cell_angle_gamma 90.00
_symmetry_space_group_name_H-M 'P 1'
_symmetry_Int_Tables_number 1
_symmetry_space_group_name_Hall 'P 1'
loop_
_atom_site_label
_atom_site_type_symbol
_atom_site_fract_x
_atom_site_fract_y
_atom_site_fract_z
La1 La 0.1787 0.3213 0.0000
La2 La 0.3213 0.8213 0.0000
La3 La 0.6787 0.1787 0.0000
La4 La 0.8213 0.6787 0.0000
In1 In 0.0000 0.0000 0.5000
In2 In 0.5000 0.5000 0.5000
Cu1 Cu 0.1166 0.6166 0.5000
Cu2 Cu 0.3834 0.1166 0.5000
Cu3 Cu 0.6166 0.8834 0.5000
Cu4 Cu 0.8834 0.3834 0.5000
```

---

5.
VASP calculation (PBE) on a relaxed NaCa3TaS6O24 crystal.

Properties
- total magnetic moment (μB/cell) = 0.00
- formation energy (kJ/mol of atoms) = -233.19
- space group = P3, No. 143

```
data_NaCa3TaS6O24
_chemical_formula_sum 'Na3 Ca9 Ta3 S18 O72'
_cell_length_a 9.1307
_cell_length_b 9.1307
_cell_length_c 23.9098
_cell_angle_alpha 90.00
_cell_angle_beta 90.00
_cell_angle_gamma 120.00
_symmetry_space_group_name_H-M 'P 1'
_symmetry_Int_Tables_number 1
_symmetry_space_group_name_Hall 'P 1'
loop_
_atom_site_label
_atom_site_type_symbol
_atom_site_fract_x
_atom_site_fract_y
_atom_site_fract_z
Na1 Na 0.0000 0.0000 0.0000
Na2 Na 0.0000 0.0000 0.4810
Na3 Na 0.3333 0.6667 0.1687
Ca1 Ca 0.0000 0.0000 0.1471
Ca2 Ca 0.0000 0.0000 0.3449
Ca3 Ca 0.0000 0.0000 0.6485
Ca4 Ca 0.0000 0.0000 0.8409
Ca5 Ca 0.3333 0.6667 0.0223
Ca6 Ca 0.3333 0.6667 0.3168
Ca7 Ca 0.3333 0.6667 0.5153
Ca8 Ca 0.6667 0.3333 0.4683
Ca9 Ca 0.6667 0.3333 0.9685
Ta1 Ta 0.3333 0.6667 0.8110
Ta2 Ta 0.6667 0.3333 0.1826
Ta3 Ta 0.6667 0.3333 0.6766
S1 S 0.9998 0.3131 0.7464
S2 S 0.0408 0.3636 0.4141
S3 S 0.0538 0.6718 0.9103
S4 S 0.3088 0.3043 0.2409
S5 S 0.3133 0.0002 0.7464
S6 S 0.3228 0.9592 0.4141
S7 S 0.3282 0.3821 0.9103
S8 S 0.3780 0.3307 0.5806
S9 S 0.3840 0.0507 0.0811
S10 S 0.6179 0.9462 0.9103
S11 S 0.6364 0.6772 0.4141
S12 S 0.6667 0.6160 0.0811
S13 S 0.6693 0.0473 0.5806
S14 S 0.6869 0.6867 0.7464
S15 S 0.6957 0.0045 0.2409
S16 S 0.9493 0.3333 0.0811
S17 S 0.9527 0.6220 0.5806
S18 S 0.9955 0.6912 0.2409
O1 O 0.0179 0.7950 0.1915
O2 O 0.0220 0.1916 0.4109
O3 O 0.0363 0.8219 0.9018
O4 O 0.0491 0.2502 0.6983
O5 O 0.1111 0.6222 0.5838
O6 O 0.1151 0.4910 0.0845
O7 O 0.1232 0.4578 0.3624
O8 O 0.1349 0.6561 0.2455
O9 O 0.1434 0.4479 0.4646
O10 O 0.1501 0.4887 0.7617
O11 O 0.1531 0.6922 0.9604
O12 O 0.1567 0.6649 0.8584
O13 O 0.1696 0.9780 0.4109
O14 O 0.1781 0.2144 0.9018
O15 O 0.2010 0.9509 0.6983
O16 O 0.2050 0.2229 0.1915
O17 O 0.2138 0.1803 0.5917
O18 O 0.2146 0.0321 0.0858
O19 O 0.2461 0.0424 0.7953
O20 O 0.2470 0.2025 0.2912
O21 O 0.3045 0.8566 0.4646
O22 O 0.3078 0.4609 0.9604
O23 O 0.3351 0.4918 0.8584
O24 O 0.3347 0.8768 0.3624
O25 O 0.3386 0.8499 0.7617
O26 O 0.3439 0.4788 0.2455
O27 O 0.3759 0.8849 0.0845
O28 O 0.3778 0.4889 0.5838
O29 O 0.4597 0.3089 0.5326
O30 O 0.4646 0.1416 0.0295
O31 O 0.4748 0.1263 0.4182
O32 O 0.4852 0.3198 0.2277
O33 O 0.4870 0.1445 0.7329
O34 O 0.4866 0.3800 0.9088
O35 O 0.4907 0.1519 0.1313
O36 O 0.4922 0.3369 0.6349
O37 O 0.5082 0.8433 0.8584
O38 O 0.5090 0.6241 0.0845
O39 O 0.5113 0.6614 0.7617
O40 O 0.5111 0.8889 0.5838
O41 O 0.5212 0.8651 0.2455
O42 O 0.5391 0.8469 0.9604
O43 O 0.5422 0.6653 0.3624
O44 O 0.5521 0.6955 0.4646
O45 O 0.6200 0.1066 0.9088
O46 O 0.6515 0.5252 0.4182
O47 O 0.6575 0.5130 0.7329
O48 O 0.6612 0.5093 0.1313
O49 O 0.6631 0.1553 0.6349
O50 O 0.6769 0.5354 0.0295
O51 O 0.6802 0.1654 0.2277
O52 O 0.6911 0.1508 0.5326
O53 O 0.7498 0.7990 0.6983
O54 O 0.7771 0.9821 0.1915
O55 O 0.7856 0.9637 0.9018
O56 O 0.7963 0.7539 0.7953
O57 O 0.7975 0.0445 0.2912
O58 O 0.8084 0.8304 0.4109
O59 O 0.8175 0.7854 0.0858
O60 O 0.8197 0.0336 0.5917
O61 O 0.8346 0.5148 0.2277
O62 O 0.8447 0.5078 0.6349
O63 O 0.8481 0.3388 0.1313
O64 O 0.8492 0.5403 0.5326
O65 O 0.8555 0.3425 0.7329
O66 O 0.8584 0.3231 0.0295
O67 O 0.8737 0.3485 0.4182
O68 O 0.8934 0.5134 0.9088
O69 O 0.9555 0.7530 0.2912
O70 O 0.9576 0.2037 0.7953
O71 O 0.9664 0.7862 0.5917
O72 O 0.9679 0.1825 0.0858
```

---

6.
VASP calculation (PBE) on a relaxed Na3LaHfSi2SO12 crystal.

Properties
- total magnetic moment (μB/cell) = 0.00
- formation energy (kJ/mol of atoms) = -282.76
- space group = Cc, No. 9

```
data_Na3LaHfSi2SO12
_chemical_formula_sum 'Na18 La6 Hf6 Si12 S6 O72'
_cell_length_a 9.5204
_cell_length_b 9.5204
_cell_length_c 22.9900
_cell_angle_alpha 90.76
_cell_angle_beta 90.76
_cell_angle_gamma 59.80
_symmetry_space_group_name_H-M 'P 1'
_symmetry_Int_Tables_number 1
_symmetry_space_group_name_Hall 'P 1'
loop_
_atom_site_label
_atom_site_type_symbol
_atom_site_fract_x
_atom_site_fract_y
_atom_site_fract_z
Na1 Na 0.1499 0.5168 0.6665
Na2 Na 0.1680 0.5401 0.0042
Na3 Na 0.1722 0.2103 0.2472
Na4 Na 0.1835 0.8165 0.5000
Na5 Na 0.2069 0.8346 0.8375
Na6 Na 0.2103 0.1722 0.7472
Na7 Na 0.4831 0.8501 0.3331
Na8 Na 0.5010 0.8737 0.6711
Na9 Na 0.5052 0.5434 0.9137
Na10 Na 0.5168 0.1499 0.1665
Na11 Na 0.5401 0.1680 0.5042
Na12 Na 0.5434 0.5052 0.4137
Na13 Na 0.8165 0.1835 0.0000
Na14 Na 0.8346 0.2069 0.3375
Na15 Na 0.8386 0.8765 0.5804
Na16 Na 0.8501 0.4831 0.8331
Na17 Na 0.8737 0.5010 0.1711
Na18 Na 0.8765 0.8386 0.0804
La1 La 0.1635 0.1933 0.3959
La2 La 0.1933 0.1635 0.8959
La3 La 0.4968 0.5267 0.0625
La4 La 0.5267 0.4968 0.5625
La5 La 0.8301 0.8599 0.7291
La6 La 0.8599 0.8301 0.2291
Hf1 Hf 0.1502 0.1784 0.0966
Hf2 Hf 0.1784 0.1502 0.5966
Hf3 Hf 0.4835 0.5117 0.7632
Hf4 Hf 0.5117 0.4835 0.2632
Hf5 Hf 0.8168 0.8451 0.4299
Hf6 Hf 0.8451 0.8168 0.9299
Si1 Si 0.1405 0.5449 0.8248
Si2 Si 0.1522 0.8815 0.9892
Si3 Si 0.2116 0.8072 0.6581
Si4 Si 0.2148 0.4855 0.1559
Si5 Si 0.4738 0.8783 0.4915
Si6 Si 0.4855 0.2148 0.6559
Si7 Si 0.5449 0.1405 0.3248
Si8 Si 0.5482 0.8188 0.8225
Si9 Si 0.8072 0.2116 0.1581
Si10 Si 0.8188 0.5482 0.3225
Si11 Si 0.8783 0.4738 0.9915
Si12 Si 0.8815 0.1522 0.4892
S1 S 0.1538 0.4932 0.4998
S2 S 0.1598 0.8205 0.3331
S3 S 0.4871 0.8265 0.1664
S4 S 0.4932 0.1538 0.9998
S5 S 0.8205 0.1598 0.8331
S6 S 0.8265 0.4871 0.6664
O1 O 0.0015 0.6538 0.4938
O2 O 0.0030 0.3713 0.0481
O3 O 0.0090 0.1445 0.5429
O4 O 0.0254 0.6300 0.1616
O5 O 0.0333 0.8252 0.6622
O6 O 0.0380 0.6696 0.8815
O7 O 0.0443 0.6284 0.7656
O8 O 0.0623 0.8485 0.2794
O9 O 0.0731 0.8086 0.3844
O10 O 0.1419 0.4064 0.5511
O11 O 0.1445 0.0090 0.0429
O12 O 0.1586 0.3667 0.8289
O13 O 0.1718 0.9493 0.9277
O14 O 0.1817 0.3957 0.4461
O15 O 0.1876 0.9605 0.3366
O16 O 0.2090 0.9851 0.6561
O17 O 0.2203 0.3065 0.1556
O18 O 0.2826 0.5051 0.0944
O19 O 0.2939 0.5208 0.5033
O20 O 0.2951 0.7109 0.5989
O21 O 0.2966 0.6921 0.9949
O22 O 0.3065 0.2203 0.6556
O23 O 0.3185 0.5424 0.8228
O24 O 0.3205 0.6682 0.3271
O25 O 0.3348 0.9872 0.1605
O26 O 0.3362 0.7047 0.7148
O27 O 0.3424 0.4778 0.2096
O28 O 0.3589 0.9634 0.8282
O29 O 0.3667 0.1586 0.3289
O30 O 0.3713 0.0030 0.5481
O31 O 0.3777 0.9618 0.4322
O32 O 0.3957 0.1817 0.9461
O33 O 0.4064 0.1419 0.0511
O34 O 0.4752 0.7397 0.2177
O35 O 0.4778 0.3424 0.7096
O36 O 0.4918 0.7000 0.4956
O37 O 0.5051 0.2826 0.5944
O38 O 0.5151 0.7291 0.1127
O39 O 0.5208 0.2939 0.0033
O40 O 0.5424 0.3185 0.3228
O41 O 0.5536 0.6399 0.8222
O42 O 0.6159 0.8384 0.7610
O43 O 0.6272 0.8542 0.1700
O44 O 0.6284 0.0443 0.2656
O45 O 0.6300 0.0254 0.6616
O46 O 0.6399 0.5536 0.3222
O47 O 0.6518 0.8757 0.4895
O48 O 0.6538 0.0015 0.9938
O49 O 0.6682 0.3205 0.8271
O50 O 0.6696 0.0380 0.3815
O51 O 0.6758 0.8111 0.8763
O52 O 0.6921 0.2966 0.4949
O53 O 0.7000 0.4918 0.9956
O54 O 0.7047 0.3362 0.2148
O55 O 0.7109 0.2951 0.0989
O56 O 0.7291 0.5151 0.6127
O57 O 0.7397 0.4752 0.7177
O58 O 0.8086 0.0731 0.8844
O59 O 0.8111 0.6758 0.3763
O60 O 0.8252 0.0333 0.1622
O61 O 0.8384 0.6159 0.2610
O62 O 0.8485 0.0623 0.7794
O63 O 0.8542 0.6272 0.6700
O64 O 0.8757 0.6518 0.9895
O65 O 0.8870 0.9732 0.4889
O66 O 0.9493 0.1718 0.4277
O67 O 0.9605 0.1876 0.8366
O68 O 0.9618 0.3777 0.9322
O69 O 0.9634 0.3589 0.3282
O70 O 0.9732 0.8870 0.9889
O71 O 0.9851 0.2090 0.1561
O72 O 0.9872 0.3348 0.6605
```

---

Which of these has the highest formation energy? La2InCu2

---

Among the records above, which one has the lowest formation energy? Na3LaHfSi2SO12